No. 1
PuH2, optimized geometry, DFT r²SCAN; total energy = -95.1 eV/cell; calculated formation energy = -0.606 eV per atom
1.0
0.000 2.680 2.680
2.680 0.000 2.680
2.680 2.680 0.000
Pu H
1 2
direct
0.000 0.000 0.000
0.250 0.250 0.250
0.750 0.750 0.750

No. 2
PuSi2Ir2, optimized geometry, DFT r²SCAN; total energy = -427.7 eV/cell; calculated formation energy = -1.041 eV per atom
1.0
4.134 0.000 0.000
0.000 4.134 0.000
0.000 0.000 9.846
Pu Si Ir
2 4 4
direct
0.250 0.250 0.246
0.750 0.750 0.754
0.250 0.250 0.630
0.250 0.750 0.000
0.750 0.250 0.000
0.750 0.750 0.370
0.250 0.250 0.872
0.250 0.750 0.500
0.750 0.250 0.500
0.750 0.750 0.128

No. 3
NaHoTl2, optimized geometry, DFT r²SCAN; total energy = -144.0 eV/cell; calculated formation energy = -0.308 eV per atom
1.0
0.000 3.729 3.729
3.729 0.000 3.729
3.729 3.729 0.000
Na Ho Tl
1 1 2
direct
0.000 0.000 0.000
0.500 0.500 0.500
0.250 0.250 0.250
0.750 0.750 0.750

No. 4
AgHO2, optimized geometry, DFT r²SCAN; total energy = -76.7 eV/cell; calculated formation energy = -0.400 eV per atom
1.0
4.063 -3.709 0.000
4.063 3.709 0.000
-1.083 0.000 3.188
Ag H O
2 2 4
direct
0.249 0.751 0.000
0.751 0.249 0.000
0.710 0.710 0.423
0.783 0.783 0.979
0.175 0.348 0.459
0.348 0.175 0.459
0.617 0.617 0.144
0.877 0.877 0.848

No. 5
LiTmAu2, optimized geometry, DFT r²SCAN; total energy = -141.8 eV/cell; calculated formation energy = -0.786 eV per atom
1.0
0.000 3.370 3.370
3.370 0.000 3.370
3.370 3.370 0.000
Li Tm Au
1 1 2
direct
0.000 0.000 0.000
0.500 0.500 0.500
0.250 0.250 0.250
0.750 0.750 0.750

No. 6
V2Co2O7, optimized geometry, DFT r²SCAN; total energy = -476.5 eV/cell; calculated formation energy = -2.061 eV per atom
1.0
6.571 0.000 0.000
0.000 8.299 0.000
-1.648 0.000 9.260
V Co O
8 8 28
direct
0.136 0.241 0.469
0.136 0.259 0.969
0.304 0.519 0.688
0.304 0.981 0.188
0.696 0.019 0.812
0.696 0.481 0.312
0.864 0.741 0.031
0.864 0.759 0.531
0.198 0.612 0.321
0.198 0.888 0.821
0.356 0.622 0.037
0.356 0.878 0.537
0.644 0.122 0.463
0.644 0.378 0.963
0.802 0.112 0.179
0.802 0.388 0.679
0.075 0.627 0.106
0.075 0.873 0.606
0.104 0.132 0.125
0.104 0.368 0.625
0.177 0.122 0.848
0.177 0.378 0.348
0.247 0.644 0.820
0.247 0.856 0.320
0.328 0.632 0.539
0.328 0.868 0.039
0.352 0.120 0.506
0.352 0.380 0.006
0.472 0.583 0.252
0.472 0.917 0.752
0.528 0.083 0.248
0.528 0.417 0.748
0.648 0.620 0.994
0.648 0.880 0.494
0.672 0.132 0.961
0.672 0.368 0.461
0.753 0.144 0.680
0.753 0.356 0.180
0.823 0.622 0.652
0.823 0.878 0.152
0.896 0.632 0.375
0.896 0.868 0.875
0.925 0.127 0.394
0.925 0.373 0.894

No. 7
YbZn, optimized geometry, DFT r²SCAN; total energy = -45.6 eV/cell; calculated formation energy = -0.069 eV per atom
1.0
0.000 2.872 2.872
2.872 0.000 2.872
2.872 2.872 0.000
Yb Zn
1 1
direct
0.000 0.000 0.000
0.500 0.500 0.500

No. 8
Er5Ga3, optimized geometry, DFT r²SCAN; total energy = -417.0 eV/cell; calculated formation energy = -0.570 eV per atom
1.0
8.482 0.000 0.000
-4.241 7.346 0.000
0.000 0.000 6.462
Er Ga
10 6
direct
0.000 0.253 0.250
0.000 0.747 0.750
0.253 0.000 0.250
0.253 0.253 0.750
0.333 0.667 0.000
0.333 0.667 0.500
0.667 0.333 0.000
0.667 0.333 0.500
0.747 0.000 0.750
0.747 0.747 0.250
0.000 0.395 0.750
0.000 0.605 0.250
0.395 0.000 0.750
0.395 0.395 0.250
0.605 0.000 0.250
0.605 0.605 0.750